(1)
Density functional theory data (PBE+U) for a relaxed Li2V3CoO8 crystal.

formation enthalpy at 0 K	-2.32	eV/atom
corrected total energy (MP2020 scheme)	-7.87	eV per atom
M_tot	6.00	μB per formula unit
excess energy over the best structure of this formula in the dataset	1.50	eV per formula unit
final energy	-196.01	eV per cell

Cell and atoms, written as POSCAR:
```
Li2V3CoO8
1.0
5.929 0.000 0.000
2.962 5.146 0.000
0.010 3.399 9.697
Li V Co O
4 6 2 16
direct
0.000 0.000 0.000
0.061 0.858 0.691
0.491 0.999 0.500
0.571 0.860 0.190
0.012 0.496 0.998
0.241 0.497 0.247
0.489 0.501 0.505
0.500 0.503 0.005
0.752 0.496 0.747
0.982 0.498 0.498
0.428 0.136 0.808
0.927 0.135 0.311
0.091 0.275 0.875
0.127 0.275 0.377
0.128 0.721 0.381
0.132 0.710 0.896
0.340 0.281 0.608
0.367 0.271 0.121
0.385 0.708 0.119
0.399 0.708 0.618
0.581 0.289 0.376
0.620 0.289 0.876
0.642 0.721 0.880
0.651 0.708 0.396
0.853 0.271 0.621
0.857 0.710 0.632
0.870 0.281 0.107
0.924 0.710 0.133
```

---

(2)
Density functional theory data (PBE+U) for a relaxed Li2V3CoO8 crystal.

formation enthalpy at 0 K	-2.28	eV/atom
corrected total energy (MP2020 scheme)	-7.83	eV per atom
M_tot	4.00	μB per formula unit
excess energy over the best structure of this formula in the dataset	2.05	eV per formula unit
final energy	-194.90	eV per cell

Cell and atoms, written as POSCAR:
```
Li2V3CoO8
1.0
5.817 0.000 0.000
-2.819 5.173 0.000
-2.812 -1.626 9.668
Li V Co O
4 6 2 16
direct
0.124 0.062 0.190
0.126 0.567 0.688
0.874 0.433 0.312
0.876 0.938 0.810
0.000 0.000 0.500
0.000 0.500 0.000
0.498 0.749 0.250
0.500 0.000 0.000
0.500 0.500 0.500
0.502 0.251 0.750
0.500 0.000 0.500
0.500 0.500 0.000
0.253 0.623 0.896
0.258 0.847 0.126
0.266 0.405 0.119
0.272 0.138 0.395
0.275 0.914 0.624
0.281 0.373 0.624
0.288 0.652 0.386
0.289 0.157 0.880
0.711 0.843 0.120
0.712 0.348 0.614
0.719 0.627 0.376
0.725 0.086 0.376
0.728 0.862 0.605
0.734 0.595 0.881
0.742 0.153 0.874
0.747 0.377 0.104
```